DFT (PBE) results for a geometry-optimized NdScSb structure.

Properties
Theoretical density in Mg/m³: 6.27
Symmetry: No. 139
Final energy in eV/atom: -5.941

POSCAR file:
```
NdScSb
1.0
-3.059 3.208 0.579
-0.750 0.080 -4.407
-3.945 -7.382 2.805
Nd Sb Sc
2 2 2
direct
0.825 0.825 0.650 Nd
0.175 0.175 0.350 Nd
0.626 0.626 0.253 Sb
0.374 0.374 0.747 Sb
0.000 0.500 0.000 Sc
0.500 0.000 0.000 Sc
```



DFT (PBE) results for a geometry-optimized Li3GdO3 structure.

Properties
Total magnetic moment in μB/f.u.: 7.0
Theoretical density in Mg/m³: 4.63
Symmetry: No. 165
Final energy in eV/atom: -7.325

POSCAR file:
```
Li3GdO3
1.0
10.198 -0.001 -0.001
-5.100 8.833 0.000
-0.001 0.000 10.792
Li O Gd
36 36 12
direct
0.526 0.418 0.062 Li
0.226 0.143 0.063 Li
0.808 0.560 0.438 Li
0.226 0.084 0.562 Li
0.526 0.108 0.562 Li
0.248 0.440 0.062 Li
0.582 0.108 0.062 Li
0.892 0.418 0.562 Li
0.418 0.526 0.438 Li
0.418 0.892 0.938 Li
0.560 0.752 0.562 Li
0.192 0.440 0.562 Li
0.857 0.084 0.063 Li
0.108 0.526 0.938 Li
0.582 0.474 0.562 Li
0.143 0.916 0.938 Li
0.474 0.582 0.938 Li
0.143 0.226 0.437 Li
0.084 0.226 0.938 Li
0.084 0.857 0.437 Li
0.916 0.143 0.563 Li
0.560 0.808 0.062 Li
0.440 0.192 0.938 Li
0.857 0.774 0.563 Li
0.774 0.916 0.437 Li
0.192 0.752 0.062 Li
0.108 0.582 0.438 Li
0.752 0.192 0.438 Li
0.474 0.892 0.438 Li
0.774 0.857 0.938 Li
0.248 0.808 0.562 Li
0.892 0.474 0.062 Li
0.440 0.248 0.438 Li
0.752 0.560 0.938 Li
0.808 0.248 0.938 Li
0.916 0.774 0.063 Li
0.457 0.248 0.620 O
0.877 0.419 0.381 O
0.874 0.085 0.880 O
0.542 0.419 0.881 O
0.248 0.792 0.380 O
0.791 0.248 0.120 O
0.210 0.085 0.381 O
0.581 0.458 0.381 O
0.790 0.915 0.620 O
0.208 0.456 0.381 O
0.544 0.752 0.381 O
0.543 0.792 0.880 O
0.877 0.458 0.881 O
0.752 0.208 0.620 O
0.126 0.915 0.119 O
0.752 0.543 0.120 O
0.456 0.208 0.120 O
0.581 0.123 0.881 O
0.915 0.125 0.381 O
0.125 0.210 0.620 O
0.542 0.123 0.381 O
0.790 0.875 0.119 O
0.209 0.752 0.880 O
0.875 0.790 0.381 O
0.915 0.790 0.880 O
0.458 0.581 0.119 O
0.210 0.125 0.881 O
0.085 0.875 0.620 O
0.085 0.210 0.119 O
0.123 0.581 0.619 O
0.248 0.457 0.880 O
0.419 0.877 0.119 O
0.458 0.877 0.620 O
0.419 0.542 0.619 O
0.123 0.542 0.119 O
0.791 0.543 0.620 O
0.333 0.334 0.750 Gd
0.000 0.000 0.750 Gd
0.667 0.000 0.750 Gd
0.000 0.334 0.250 Gd
0.000 0.667 0.750 Gd
0.667 0.333 0.251 Gd
0.333 0.667 0.749 Gd
0.666 0.667 0.250 Gd
0.000 0.000 0.250 Gd
0.333 0.667 0.249 Gd
0.667 0.333 0.750 Gd
0.333 0.000 0.250 Gd
```



DFT (PBE) results for a geometry-optimized Li3Ti7O14 structure.

Properties
Total magnetic moment in μB/f.u.: 0.7
Theoretical density in Mg/m³: 3.64
Symmetry: No. 15
Final energy in eV/atom: -8.293

POSCAR file:
```
Li3Ti7O14
1.0
4.228 9.458 0.000
-4.228 9.458 0.000
0.000 1.895 13.243
Ti O Li
28 56 12
direct
0.358 0.359 0.927 Ti
0.074 0.067 0.285 Ti
0.856 0.357 0.927 Ti
0.926 0.933 0.715 Ti
0.428 0.927 0.215 Ti
0.144 0.643 0.073 Ti
0.290 0.782 0.644 Ti
0.572 0.073 0.785 Ti
0.927 0.428 0.715 Ti
0.500 0.000 0.000 Ti
0.500 0.500 0.000 Ti
0.710 0.218 0.356 Ti
0.073 0.572 0.285 Ti
0.213 0.215 0.358 Ti
0.641 0.642 0.573 Ti
0.000 0.500 0.500 Ti
0.359 0.358 0.427 Ti
0.933 0.926 0.215 Ti
0.785 0.787 0.142 Ti
0.643 0.144 0.573 Ti
0.067 0.074 0.785 Ti
0.787 0.785 0.642 Ti
0.642 0.641 0.073 Ti
0.218 0.710 0.856 Ti
0.782 0.290 0.144 Ti
0.215 0.213 0.858 Ti
0.357 0.856 0.427 Ti
0.500 0.500 0.500 Ti
0.759 0.733 0.511 O
0.541 0.016 0.139 O
0.745 0.269 0.004 O
0.046 0.019 0.654 O
0.812 0.837 0.775 O
0.123 0.098 0.418 O
0.098 0.123 0.918 O
0.398 0.873 0.568 O
0.954 0.981 0.346 O
0.731 0.255 0.496 O
0.695 0.670 0.703 O
0.330 0.305 0.797 O
0.016 0.541 0.639 O
0.255 0.731 0.996 O
0.030 0.556 0.146 O
0.444 0.970 0.354 O
0.902 0.877 0.082 O
0.524 0.556 0.629 O
0.413 0.888 0.075 O
0.556 0.030 0.646 O
0.984 0.459 0.361 O
0.476 0.444 0.371 O
0.269 0.745 0.504 O
0.846 0.314 0.790 O
0.305 0.330 0.297 O
0.444 0.476 0.871 O
0.981 0.954 0.846 O
0.587 0.112 0.925 O
0.163 0.188 0.725 O
0.828 0.301 0.282 O
0.686 0.154 0.710 O
0.241 0.267 0.489 O
0.267 0.241 0.989 O
0.670 0.695 0.203 O
0.699 0.172 0.218 O
0.877 0.902 0.582 O
0.154 0.686 0.210 O
0.409 0.383 0.561 O
0.459 0.984 0.861 O
0.970 0.444 0.854 O
0.873 0.398 0.068 O
0.019 0.046 0.154 O
0.837 0.812 0.275 O
0.301 0.828 0.782 O
0.314 0.846 0.290 O
0.733 0.759 0.011 O
0.556 0.524 0.129 O
0.617 0.591 0.939 O
0.383 0.409 0.061 O
0.127 0.602 0.932 O
0.602 0.127 0.432 O
0.591 0.617 0.439 O
0.172 0.699 0.718 O
0.112 0.587 0.425 O
0.888 0.413 0.575 O
0.188 0.163 0.225 O
0.767 0.518 0.321 Li
0.197 0.945 0.037 Li
0.945 0.197 0.537 Li
0.803 0.055 0.963 Li
0.518 0.767 0.821 Li
0.089 0.339 0.107 Li
0.055 0.803 0.463 Li
0.661 0.911 0.393 Li
0.233 0.482 0.679 Li
0.482 0.233 0.179 Li
0.911 0.661 0.893 Li
0.339 0.089 0.607 Li
```



DFT (PBE) results for a geometry-optimized Nd5MgAl4 structure.

Properties
Total magnetic moment in μB/f.u.: 0.3
Theoretical density in Mg/m³: 5.35
Symmetry: No. 123
Final energy in eV/atom: -4.343

POSCAR file:
```
Nd5MgAl4
1.0
-1.990 -3.119 -0.452
2.421 -1.855 2.142
-10.329 4.357 15.445
Nd Mg Al
5 1 4
direct
0.500 0.500 0.304 Nd
0.500 0.500 0.109 Nd
0.500 0.500 0.891 Nd
0.500 0.500 0.696 Nd
0.500 0.500 0.500 Nd
0.000 0.000 0.000 Mg
0.000 0.000 0.598 Al
0.000 0.000 0.797 Al
0.000 0.000 0.203 Al
0.000 0.000 0.402 Al
```



DFT (PBE) results for a geometry-optimized K3MoI6 structure.

Properties
Total magnetic moment in μB/f.u.: 3.0
Theoretical density in Mg/m³: 3.48
Symmetry: No. 225
Final energy in eV/atom: -3.202

POSCAR file:
```
K3MoI6
1.0
-1.243 -8.593 0.507
-7.451 -3.489 -2.817
-0.083 -4.817 -7.241
I K Mo
6 3 1
direct
0.228 0.228 0.772 I
0.772 0.228 0.228 I
0.228 0.772 0.772 I
0.772 0.772 0.228 I
0.228 0.772 0.228 I
0.772 0.228 0.772 I
0.500 0.500 0.500 K
0.250 0.250 0.250 K
0.750 0.750 0.750 K
0.000 0.000 0.000 Mo
```



DFT (PBE) results for a geometry-optimized Y5Ge3 structure.

Properties
Theoretical density in Mg/m³: 5.42
Symmetry: No. 193
Final energy in eV/atom: -6.608

POSCAR file:
```
Y5Ge3
1.0
4.265 -7.387 0.000
4.265 7.387 0.000
0.000 0.000 6.441
Ge Y
6 10
direct
0.394 0.394 0.250 Ge
0.394 0.000 0.750 Ge
0.606 0.606 0.750 Ge
0.000 0.606 0.250 Ge
0.000 0.394 0.750 Ge
0.606 0.000 0.250 Ge
0.667 0.333 0.500 Y
0.758 0.758 0.250 Y
0.333 0.667 0.500 Y
0.000 0.758 0.750 Y
0.242 0.242 0.750 Y
0.000 0.242 0.250 Y
0.242 0.000 0.250 Y
0.333 0.667 0.000 Y
0.758 0.000 0.750 Y
0.667 0.333 0.000 Y
```



Which value of final energy does entry 2 give? -7.325 eV/atom



Number 3 is which compound? Li3Ti7O14



Copy entry 1 word for word.
DFT (PBE) results for a geometry-optimized NdScSb structure.

Properties
Theoretical density in Mg/m³: 6.27
Symmetry: No. 139
Final energy in eV/atom: -5.941

POSCAR file:
```
NdScSb
1.0
-3.059 3.208 0.579
-0.750 0.080 -4.407
-3.945 -7.382 2.805
Nd Sb Sc
2 2 2
direct
0.825 0.825 0.650 Nd
0.175 0.175 0.350 Nd
0.626 0.626 0.253 Sb
0.374 0.374 0.747 Sb
0.000 0.500 0.000 Sc
0.500 0.000 0.000 Sc
```



Among the records above, which one has the highest theoretical density? NdScSb